No. 1
Na3Y2Sc2P3S3O24: relaxed, GGA-PBE.

Unit cell a=9.0325 b=9.0218 c=23.7529 alpha=89.57 beta=90.46 gamma=120.29
With the nearest neighbours (Å) after each atom.
Fractional coordinates of all 111 atoms:
1 Na 0.3598 0.3597 0.2520  4 O 2.38-2.55
2 Na 0.6855 0.0189 0.9180  4 O 2.41-2.57
3 Na 0.9792 0.3089 0.4159  4 O 2.44-2.55
4 Na 0.0084 0.9965 0.4977  6 O 2.59-2.78
5 Na 0.0039 0.9886 0.0030  6 O 2.61-2.79
6 Na 0.6576 0.3360 0.8353  6 O 2.65-2.72
7 Na 0.6658 0.3341 0.3335  6 O 2.62-2.76
8 Na 0.3334 0.6886 0.1688  6 O 2.59-2.88
9 Na 0.3335 0.6673 0.6672  6 O 2.56-2.79
10 Y 0.0015 0.9951 0.8518  6 O 2.20-2.33
11 Y 0.9917 0.0068 0.6460  6 O 2.13-2.38
12 Y 0.6730 0.3268 0.6843  6 O 2.12-2.33
13 Y 0.3396 0.6748 0.0218  6 O 2.15-2.34
14 Y 0.3250 0.6611 0.5147  6 O 2.17-2.31
15 Y 0.3449 0.6751 0.8185  6 O 2.17-2.34
16 Sc 0.0121 0.0008 0.3481  5 O 2.01-2.18
17 Sc 0.9984 0.0045 0.1507  6 O 2.04-2.27
18 Sc 0.6726 0.3180 0.1863  4 O 1.95-2.12
19 Sc 0.6613 0.3318 0.9857  6 O 2.07-2.23
20 Sc 0.6674 0.3395 0.4794  6 O 2.05-2.25
21 Sc 0.3186 0.6647 0.3157  5 O 2.01-2.21
22 P 0.2903 0.9989 0.2484  4 O 1.54-1.57
23 P 0.0008 0.2899 0.2516  4 O 1.54-1.57
24 P 0.6994 0.9984 0.7520  4 O 1.54
25 P 0.9583 0.3340 0.5784  4 O 1.54-1.55
26 P 0.6775 0.0479 0.0844  4 O 1.55
27 P 0.6312 0.6587 0.9199  4 O 1.53-1.56
28 P 0.3408 0.9733 0.9197  4 O 1.53-1.56
29 P 0.3347 0.3698 0.4122  4 O 1.54-1.56
30 P 0.0331 0.6676 0.4143  4 O 1.53-1.57
31 S 0.7068 0.7078 0.2497  4 O 1.47-1.50
32 S 0.2992 0.3004 0.7493  4 O 1.47-1.48
33 S 0.0015 0.7023 0.7489  4 O 1.47-1.48
34 S 0.3744 0.0419 0.5804  4 O 1.47-1.48
35 S 0.6669 0.6238 0.5810  4 O 1.47-1.49
36 S 0.9492 0.6233 0.0861  4 O 1.48-1.49
37 S 0.3746 0.3256 0.0871  4 O 1.48-1.49
38 S 0.0290 0.3697 0.9188  4 O 1.46-1.50
39 S 0.6319 0.9643 0.4143  4 O 1.47-1.50
40 O 0.2088 0.0321 0.3005  1 P 1.55
41 O 0.8121 0.7888 0.3002  1 S 1.47
42 O 0.9750 0.1843 0.3058  1 P 1.54
43 O 0.2171 0.1981 0.8002  1 S 1.47
44 O 0.9883 0.7867 0.8000  1 S 1.48
45 O 0.7970 0.0124 0.8071  1 P 1.54
46 O 0.7966 0.9873 0.7006  1 P 1.54
47 O 0.1993 0.2127 0.6984  1 S 1.48
48 O 0.0195 0.8048 0.6981  1 S 1.47
49 O 0.7883 0.8122 0.1988  1 S 1.48
50 O 0.0300 0.2010 0.2008  1 P 1.55
51 O 0.1775 0.9730 0.1963  1 P 1.54
52 O 0.8713 0.3472 0.6319  1 P 1.54
53 O 0.4677 0.1215 0.6330  1 S 1.47
54 O 0.6477 0.5277 0.6332  1 S 1.47
55 O 0.8616 0.5189 0.1362  1 S 1.48
56 O 0.6586 0.1433 0.1352  1 P 1.55
57 O 0.4776 0.3475 0.1384  1 S 1.48
58 O 0.4599 0.3100 0.0361  1 S 1.48
59 O 0.8495 0.5418 0.0342  1 S 1.48
60 O 0.6936 0.1480 0.0292  1 P 1.55
61 O 0.4648 0.1488 0.5308  1 S 1.48
62 O 0.6773 0.5320 0.5310  1 S 1.48
63 O 0.8529 0.3238 0.5251  1 P 1.55
64 O 0.5414 0.6884 0.9696  1 P 1.54
65 O 0.1350 0.4517 0.9686  1 S 1.46
66 O 0.3129 0.8584 0.9710  1 P 1.53
67 O 0.5584 0.8652 0.4663  1 S 1.47
68 O 0.2990 0.4505 0.4637  1 P 1.54
69 O 0.1410 0.7015 0.4679  1 P 1.53
70 O 0.1237 0.6349 0.3644  1 P 1.56
71 O 0.5215 0.8780 0.3651  1 S 1.48
72 O 0.3599 0.4812 0.3592  1 P 1.55
73 O 0.1073 0.4687 0.8672  1 S 1.47
74 O 0.3705 0.8924 0.8669  1 P 1.55
75 O 0.5258 0.6302 0.8655  1 P 1.54
76 O 0.0056 0.8201 0.4038  1 P 1.53
77 O 0.8073 0.9901 0.4077  1 S 1.49
78 O 0.1677 0.1908 0.4056  1 P 1.56
79 O 0.0038 0.1931 0.9145  1 S 1.50
80 O 0.1877 0.0013 0.9138  1 P 1.53
81 O 0.8070 0.8281 0.9147  1 P 1.56
82 O 0.9723 0.1696 0.5802  1 P 1.55
83 O 0.2012 0.0222 0.5826  1 S 1.48
84 O 0.8273 0.7939 0.5827  1 S 1.49
85 O 0.9689 0.7966 0.0905  1 S 1.49
86 O 0.8392 0.0314 0.0917  1 P 1.55
87 O 0.2026 0.1676 0.0907  1 S 1.49
88 O 0.6815 0.1595 0.7487  1 P 1.54
89 O 0.4727 0.3228 0.7462  1 S 1.48
90 O 0.8427 0.5325 0.7464  1 S 1.48
91 O 0.6822 0.5315 0.2439  1 S 1.50
92 O 0.8449 0.3147 0.2430  1 P 1.55
93 O 0.4684 0.1680 0.2415  1 P 1.57
94 O 0.6564 0.5042 0.9289  1 P 1.53
95 O 0.8549 0.3479 0.9243  1 S 1.49
96 O 0.5099 0.1482 0.9269  1 P 1.56
97 O 0.6528 0.1399 0.4195  1 S 1.50
98 O 0.4920 0.3482 0.4219  1 P 1.54
99 O 0.8575 0.4967 0.4209  1 P 1.57
100 O 0.3533 0.4778 0.0820  1 S 1.48
101 O 0.1208 0.6382 0.0827  1 S 1.49
102 O 0.5142 0.8674 0.0832  1 P 1.55
103 O 0.3609 0.8719 0.5770  1 S 1.48
104 O 0.5175 0.6486 0.5764  1 S 1.48
105 O 0.1395 0.4941 0.5775  1 P 1.54
106 O 0.3143 0.8424 0.2576  1 P 1.55
107 O 0.5321 0.6864 0.2552  1 S 1.50
108 O 0.1695 0.4688 0.2573  1 P 1.57
109 O 0.3099 0.4691 0.7523  1 S 1.48
110 O 0.1520 0.6793 0.7529  1 S 1.48
111 O 0.5199 0.8357 0.7516  1 P 1.54

Summary:
The value obtained for the energy of formation from the pure elements is -2.866 eV per atom. Its space-group type is P1. For the size of the total moment, the calculation gives 0.000 μB per atom. For the volume, the calculation gives 1671.3 Å³ per cell.

=====

No. 2
NaY2Sc2PS5O24: relaxed, GGA-PBE.

Unit cell a=8.9693 b=8.9689 c=23.6603 alpha=90.03 beta=90.00 gamma=119.87
With the nearest neighbours (Å) after each atom.
Fractional coordinates of all 105 atoms:
1 Na 0.9985 0.9867 0.9951  6 O 2.50-2.79
2 Na 0.6534 0.3314 0.8391  3 O 2.42-2.60
3 Na 0.6752 0.3321 0.3330  3 O 2.45-2.61
4 Y 0.9994 0.9936 0.8514  6 O 2.16-2.30
5 Y 0.0011 0.0052 0.1529  6 O 2.15-2.29
6 Y 0.6716 0.3339 0.1890  6 O 2.20-2.31
7 Y 0.6612 0.3334 0.9792  6 O 2.18-2.27
8 Y 0.3383 0.6724 0.0180  6 O 2.14-2.29
9 Y 0.3404 0.6726 0.8111  6 O 2.14-2.34
10 Sc 0.9985 0.0061 0.3557  5 O 1.96-2.17
11 Sc 0.0007 0.0001 0.6443  6 O 2.09-2.15
12 Sc 0.6657 0.3339 0.6816  6 O 2.08-2.12
13 Sc 0.6676 0.3339 0.4825  6 O 2.10-2.17
14 Sc 0.3327 0.6668 0.5196  6 O 2.12-2.14
15 Sc 0.3281 0.6612 0.3151  6 O 1.96-2.19
16 P 0.0024 0.2943 0.2567  4 O 1.54-1.56
17 P 0.6311 0.6673 0.9153  4 O 1.53-1.55
18 P 0.3332 0.9640 0.9153  4 O 1.54-1.55
19 S 0.2899 0.9957 0.2564  4 O 1.47-1.49
20 S 0.7052 0.7102 0.2565  4 O 1.47-1.49
21 S 0.2955 0.2864 0.7447  4 O 1.46-1.50
22 S 0.9896 0.7014 0.7442  4 O 1.46-1.50
23 S 0.7153 0.0119 0.7444  4 O 1.47-1.50
24 S 0.9561 0.3340 0.5824  4 O 1.48-1.50
25 S 0.3782 0.0444 0.5822  4 O 1.48-1.50
26 S 0.6661 0.6223 0.5822  4 O 1.48-1.50
27 S 0.9615 0.6317 0.0837  4 O 1.46-1.49
28 S 0.6714 0.0398 0.0837  4 O 1.46-1.49
29 S 0.3677 0.3295 0.0845  4 O 1.46-1.49
30 S 0.0383 0.3713 0.9153  4 O 1.47-1.48
31 S 0.6188 0.9561 0.4174  4 O 1.48-1.51
32 S 0.3379 0.3803 0.4175  4 O 1.48-1.50
33 S 0.0430 0.6643 0.4174  4 O 1.47-1.51
34 O 0.1995 0.0204 0.3047  1 S 1.48
35 O 0.8217 0.7977 0.3047  1 S 1.48
36 O 0.9766 0.1714 0.3069  1 P 1.56
37 O 0.2252 0.1842 0.7968  1 S 1.48
38 O 0.9565 0.7711 0.7964  1 S 1.48
39 O 0.8167 0.0430 0.7967  1 S 1.48
40 O 0.8071 0.9917 0.6953  1 S 1.49
41 O 0.1847 0.1947 0.6953  1 S 1.49
42 O 0.0113 0.8142 0.6952  1 S 1.49
43 O 0.7775 0.8050 0.2031  1 S 1.48
44 O 0.0270 0.2193 0.2013  1 P 1.54
45 O 0.1930 0.9687 0.2032  1 S 1.48
46 O 0.8776 0.3690 0.6324  1 S 1.49
47 O 0.4910 0.1222 0.6323  1 S 1.49
48 O 0.6309 0.5091 0.6323  1 S 1.49
49 O 0.8747 0.5308 0.1352  1 S 1.49
50 O 0.6572 0.1266 0.1351  1 S 1.48
51 O 0.4695 0.3447 0.1358  1 S 1.48
52 O 0.4503 0.3062 0.0338  1 S 1.48
53 O 0.8556 0.5495 0.0331  1 S 1.48
54 O 0.6947 0.1449 0.0330  1 S 1.47
55 O 0.4588 0.1590 0.5323  1 S 1.50
56 O 0.7007 0.5415 0.5323  1 S 1.50
57 O 0.8414 0.2998 0.5323  1 S 1.50
58 O 0.5427 0.6783 0.9694  1 P 1.53
59 O 0.1367 0.4521 0.9671  1 S 1.47
60 O 0.3143 0.8605 0.9691  1 P 1.54
61 O 0.5367 0.8480 0.4682  1 S 1.49
62 O 0.3102 0.4620 0.4681  1 S 1.49
63 O 0.1517 0.6904 0.4681  1 S 1.49
64 O 0.1209 0.6301 0.3673  1 S 1.48
65 O 0.5086 0.8791 0.3673  1 S 1.48
66 O 0.3719 0.4915 0.3674  1 S 1.48
67 O 0.1229 0.4724 0.8641  1 S 1.48
68 O 0.3433 0.8718 0.8616  1 P 1.54
69 O 0.5250 0.6499 0.8619  1 P 1.54
70 O 0.0248 0.8167 0.4089  1 S 1.47
71 O 0.7901 0.9725 0.4097  1 S 1.48
72 O 0.1849 0.2089 0.4095  1 S 1.48
73 O 0.0205 0.1982 0.9119  1 S 1.48
74 O 0.1745 0.9888 0.9130  1 P 1.55
75 O 0.8090 0.8325 0.9127  1 P 1.55
76 O 0.9742 0.1812 0.5919  1 S 1.48
77 O 0.2075 0.0266 0.5919  1 S 1.48
78 O 0.8188 0.7926 0.5920  1 S 1.48
79 O 0.9793 0.8056 0.0879  1 S 1.49
80 O 0.8269 0.0207 0.0875  1 S 1.49
81 O 0.1953 0.1714 0.0880  1 S 1.49
82 O 0.6951 0.1663 0.7362  1 S 1.50
83 O 0.4703 0.3061 0.7366  1 S 1.50
84 O 0.8341 0.5283 0.7359  1 S 1.50
85 O 0.6853 0.5353 0.2524  1 S 1.49
86 O 0.8388 0.3117 0.2533  1 P 1.55
87 O 0.4621 0.1532 0.2521  1 S 1.49
88 O 0.6557 0.5086 0.9167  1 P 1.55
89 O 0.8656 0.3536 0.9181  1 S 1.48
90 O 0.4985 0.1418 0.9171  1 P 1.55
91 O 0.6393 0.1320 0.4254  1 S 1.51
92 O 0.4936 0.3610 0.4255  1 S 1.50
93 O 0.8684 0.5076 0.4254  1 S 1.51
94 O 0.3498 0.4817 0.0798  1 S 1.46
95 O 0.1298 0.6448 0.0795  1 S 1.46
96 O 0.5167 0.8710 0.0802  1 S 1.46
97 O 0.3606 0.8732 0.5719  1 S 1.48
98 O 0.5126 0.6399 0.5718  1 S 1.48
99 O 0.1268 0.4872 0.5719  1 S 1.48
100 O 0.3109 0.8444 0.2652  1 S 1.47
101 O 0.5354 0.6951 0.2651  1 S 1.47
102 O 0.1622 0.4721 0.2673  1 P 1.54
103 O 0.3095 0.4557 0.7495  1 S 1.46
104 O 0.1430 0.6845 0.7495  1 S 1.46
105 O 0.5455 0.8571 0.7487  1 S 1.47

Summary:
The value obtained for the energy of formation from the pure elements is -2.696 eV per atom. Its space-group type is P1. For the size of the total moment, the calculation gives 0.000 μB per atom. For the volume, the calculation gives 1650.6 Å³ per cell.